## SmZn (meta-GGA r2SCAN)

Data for crystalline SmZn at its relaxed geometry.

## Properties
Calculated formation energy ... -349 meV per atom
Crystal system ... cubic
Total magnetization ... 0.09 μB/f.u.

a b c (Å): 3.6238 3.6238 3.6238
angles (deg): 90.00 90.00 90.00
With the nearest neighbours (Å) after each atom.
Space group Pm-3m (No. 221)
Symmetry-distinct sites (fractional):
Sm: 0.0000 0.0000 0.0000  8 Zn 3.14
Zn: 0.5000 0.5000 0.5000  8 Sm 3.14